[1]
A relaxed structure of CaW6NCl18. Source: the Materials Project database, functional PBE.

a b c (Å): 9.0850 9.0850 18.1929
angles (deg): 90.00 90.00 120.00
Space group P6_3/m (No. 176)
Asymmetric unit:
Ca  0.0000  0.0000  0.0000
W  0.1844  0.7012  0.1648
N  0.3333  0.6667  0.2500
Cl  0.0304  0.2544  0.5983
Cl  0.0531  0.4690  0.7500
Cl  0.0806  0.2827  0.2500
Cl  0.1074  0.4830  0.0734

Properties
Crystal system   hexagonal


[2]
A relaxed structure of CaNb2Te4Cl10O. Source: the Materials Project database, functional PBE.

a b c (Å): 7.149 8.976 9.768
angles (deg): 94.03 93.11 106.53
Space group P1 (No. 1)
Asymmetric unit:
Ca  0.000  0.000  0.000
Nb  0.403  0.186  0.800
Nb  0.434  0.907  0.080
Te  0.093  0.638  0.608
Te  0.703  0.460  0.300
Te  0.815  0.737  0.464
Te  0.984  0.363  0.444
Cl  0.048  0.013  0.722
Cl  0.117  0.729  0.988
Cl  0.220  0.307  0.961
Cl  0.259  0.042  0.234
Cl  0.364  0.373  0.640
Cl  0.449  0.728  0.253
Cl  0.498  0.032  0.632
Cl  0.627  0.794  0.925
Cl  0.712  0.346  0.877
Cl  0.755  0.092  0.180
O  0.403  0.047  0.943

Properties
Crystal system   triclinic
Excess energy over the best structure of this formula in the dataset   0.000 eV per atom


[3]
A relaxed structure of CaNb2Te4Cl10O. Source: the Materials Project database, functional PBE.

a b c (Å): 7.142 9.103 9.512
angles (deg): 81.32 89.38 76.97
Space group P1 (No. 1)
Asymmetric unit:
Ca  0.000  0.000  0.000
Nb  0.829  0.015  0.400
Nb  0.857  0.304  0.649
Te  0.201  0.708  0.831
Te  0.248  0.458  0.044
Te  0.467  0.819  0.980
Te  0.541  0.550  0.172
Cl  0.033  0.432  0.487
Cl  0.142  0.863  0.440
Cl  0.162  0.122  0.758
Cl  0.529  0.166  0.299
Cl  0.556  0.445  0.574
Cl  0.688  0.849  0.551
Cl  0.694  0.147  0.835
Cl  0.812  0.844  0.195
Cl  0.891  0.460  0.828
Cl  0.981  0.174  0.203
O  0.851  0.149  0.525

Properties
Crystal system   triclinic
Excess energy over the best structure of this formula in the dataset   0.019 eV per atom


[4]
A relaxed structure of CaNb2Te4Cl10O. Source: the Materials Project database, functional PBE.

a b c (Å): 7.125 8.960 10.030
angles (deg): 91.33 96.64 112.69
Space group P1 (No. 1)
Asymmetric unit:
Ca  0.000  0.000  0.000
Nb  0.352  0.751  0.701
Nb  0.400  0.477  0.976
Te  0.099  0.207  0.501
Te  0.650  0.011  0.205
Te  0.813  0.302  0.360
Te  0.946  0.916  0.348
Cl  0.052  0.295  0.891
Cl  0.263  0.909  0.877
Cl  0.299  0.594  0.153
Cl  0.347  0.962  0.549
Cl  0.368  0.243  0.138
Cl  0.459  0.616  0.545
Cl  0.564  0.356  0.849
Cl  0.717  0.934  0.772
Cl  0.768  0.679  0.072
Cl  0.999  0.598  0.628
O  0.376  0.618  0.845

Properties
Crystal system   triclinic
Excess energy over the best structure of this formula in the dataset   0.030 eV per atom


One value per record, in order, for V: 650.2; 597.6; 595.4; 585.2 Å³/f.u..
One value per record, in order, for formation enthalpy at 0 K: -1378; -1232; -1212; -1202 meV/atom.